Entry 1:
DFT (PBE) results for an optimized crystal structure of TaP2O8.

Summary:
Magnetic moment ... 1.03 μB per formula unit

Cell: 15.9581 5.2969 8.0464 Å, 90.00 90.00 90.00°
Space group Pnma (No. 62)
Asymmetric unit:
Ta  0.1422  0.2500  0.0259
P  0.0427  0.7500  0.2159
P  0.1719  0.7500  0.7567
O  0.0098  0.7500  0.3931
O  0.0325  0.2500  0.9071
O  0.0896  0.7500  0.6668
O  0.0980  0.5158  0.1750
O  0.1821  0.5140  0.8716
O  0.2494  0.2500  0.1418

=====

Entry 2:
DFT (PBE) results for an optimized crystal structure of TaP2O7.

Summary:
Magnetic moment ... 1.00 μB per formula unit

Cell: 8.3890 8.3890 8.3890 Å, 90.00 90.00 90.00°
Space group Pa-3 (No. 205)
Asymmetric unit:
Ta  0.0000  0.0000  0.0000
P  0.1099  0.6099  0.8901
O  0.0000  0.0000  0.5000
O  0.0567  0.7188  0.4138

=====

Entry 3:
DFT (PBE) results for an optimized crystal structure of TaTiP3O12.

Summary:
Magnetic moment ... 0.00 μB per formula unit

Cell: 8.7149 8.7149 21.9624 Å, 90.00 90.00 120.00°
Space group R3c (No. 161, hexagonal axes)
Asymmetric unit:
Ta  0.0000  0.0000  0.0000
Ti  0.0000  0.0000  0.2209
P  0.0531  0.3825  0.2781
O  0.0249  0.1951  0.5537
O  0.0289  0.1971  0.2703
O  0.1619  0.4730  0.3346
O  0.1650  0.4672  0.6166

=====

Entry 4:
DFT (PBE) results for an optimized crystal structure of Ta5ZnP9O36.

Summary:
Magnetic moment ... 0.00 μB per formula unit

Cell: 8.7612 8.7612 22.5969 Å, 90.00 90.00 120.00°
Space group P3c1 (No. 158)
Asymmetric unit:
Ta  0.0000  0.0000  0.0000
Ta  0.0000  0.0000  0.2112
Ta  0.3333  0.6667  0.1639
Ta  0.3333  0.6667  0.3803
Ta  0.6667  0.3333  0.3351
Zn  0.6667  0.3333  0.0456
P  0.0482  0.3820  0.2727
P  0.2899  0.0048  0.6060
P  0.3822  0.0488  0.9415
O  0.0258  0.1975  0.2632
O  0.0334  0.1986  0.5517
O  0.1343  0.4990  0.2182
O  0.1390  0.4922  0.9266
O  0.1640  0.4676  0.3276
O  0.1684  0.4667  0.6172
O  0.1914  0.0214  0.6617
O  0.1943  0.0251  0.9484
O  0.4665  0.1609  0.6006
O  0.4674  0.1642  0.8845
O  0.4924  0.1193  0.9950
O  0.4964  0.1358  0.2835

=====

Entry 5:
DFT (PBE) results for an optimized crystal structure of TePO5.

Cell: 7.5623 6.6179 7.5962 Å, 90.00 90.00 90.00°
Space group Pnma (No. 62)
Asymmetric unit:
Te  0.1379  0.2500  0.2433
P  0.1251  0.7500  0.1268
O  0.0526  0.2500  0.9759
O  0.1101  0.7500  0.6750
O  0.1338  0.5655  0.2519
O  0.2098  0.2500  0.5047

=====

Entry 6:
DFT (PBE) results for an optimized crystal structure of Te2P3O12.

Cell: 8.5907 8.5907 23.7013 Å, 90.00 90.00 120.00°
Space group R-3 (No. 148, hexagonal axes)
Asymmetric unit:
Te  0.0000  0.0000  0.1418
Te  0.0000  0.0000  0.3476
P  0.0006  0.7069  0.2516
O  0.0155  0.7991  0.1949
O  0.0440  0.2113  0.0857
O  0.0847  0.2295  0.7015
O  0.0894  0.2262  0.3984

=====

Entry 7:
DFT (PBE) results for an optimized crystal structure of Te4P2O13.

Cell: 11.4677 4.7447 22.8117 Å, 90.00 116.45 90.00°
Space group P2_1/c (No. 14)
Asymmetric unit:
Te  0.0120  0.1797  0.3115
Te  0.1860  0.2308  0.0619
Te  0.3443  0.1881  0.4235
Te  0.4792  0.6867  0.3499
P  0.1358  0.7478  0.4420
P  0.3031  0.7240  0.6777
O  0.0127  0.5791  0.8980
O  0.0375  0.1734  0.7342
O  0.1071  0.6237  0.4982
O  0.1646  0.5131  0.4040
O  0.1845  0.5243  0.6296
O  0.1945  0.0585  0.3450
O  0.2541  0.5474  0.9770
O  0.2712  0.6911  0.2327
O  0.3080  0.5191  0.1350
O  0.3514  0.0963  0.0711
O  0.4085  0.1642  0.8576
O  0.4324  0.5610  0.7012
O  0.4322  0.6609  0.9232

=====

Entry 8:
DFT (PBE) results for an optimized crystal structure of TiTeP3O12.

Summary:
Magnetic moment ... 0.00 μB per formula unit

Cell: 8.7303 8.7303 22.1377 Å, 90.00 90.00 120.00°
Space group R3c (No. 161, hexagonal axes)
Asymmetric unit:
Ti  0.0000  0.0000  0.0000
Te  0.0000  0.0000  0.2173
P  0.0020  0.2882  0.1091
O  0.0196  0.1934  0.0541
O  0.0265  0.1926  0.7741
O  0.1543  0.4520  0.8353
O  0.1668  0.4715  0.1175

=====

Formation enthalpy at 0 K: -2.681, -2.776, -3.039, -2.934, -1.969, -2.132, -1.930, -2.539 (eV/atom)
Mass density: 3.62, 3.99, 3.54, 4.03, 4.17, 3.55, 4.66, 3.14 (g cm⁻³)